No. 1
Cs3Cr2Cl9 (r²SCAN, relaxed); M_tot = 6.00 μB/f.u.; symmetry = P6_3/mmc; uncorrected energy = -373.30 eV per cell
1.0
7.286 0.000 0.000
-3.643 6.310 0.000
0.000 0.000 18.177
Cs Cr Cl
6 4 18
direct
0.000 0.000 0.250
0.000 0.000 0.750
0.333 0.667 0.073
0.333 0.667 0.427
0.667 0.333 0.573
0.667 0.333 0.927
0.333 0.667 0.663
0.333 0.667 0.837
0.667 0.333 0.163
0.667 0.333 0.337
0.039 0.520 0.750
0.180 0.361 0.595
0.180 0.361 0.905
0.180 0.820 0.595
0.180 0.820 0.905
0.361 0.180 0.095
0.361 0.180 0.405
0.480 0.520 0.750
0.480 0.961 0.750
0.520 0.039 0.250
0.520 0.480 0.250
0.639 0.820 0.595
0.639 0.820 0.905
0.820 0.180 0.095
0.820 0.180 0.405
0.820 0.639 0.095
0.820 0.639 0.405
0.961 0.480 0.250

---

No. 2
Na3CrCl6 (r²SCAN, relaxed); M_tot = 3.00 μB/f.u.; symmetry = P-31c; uncorrected energy = -161.16 eV per cell
1.0
6.783 0.000 0.000
-3.392 5.875 0.000
0.000 0.000 11.974
Na Cr Cl
6 2 12
direct
0.000 0.000 0.250
0.000 0.000 0.750
0.333 0.667 0.043
0.333 0.667 0.457
0.667 0.333 0.543
0.667 0.333 0.957
0.333 0.667 0.750
0.667 0.333 0.250
0.057 0.379 0.634
0.057 0.678 0.866
0.322 0.379 0.866
0.322 0.943 0.634
0.379 0.057 0.134
0.379 0.322 0.366
0.621 0.678 0.634
0.621 0.943 0.866
0.678 0.057 0.366
0.678 0.621 0.134
0.943 0.322 0.134
0.943 0.621 0.366

---

No. 3
RbCrCl3 (r²SCAN, relaxed); M_tot = 4.00 μB/f.u.; symmetry = C2/c; uncorrected energy = -223.63 eV per cell
1.0
6.125 -3.506 0.000
6.125 3.506 0.000
-1.003 0.000 12.710
Rb Cr Cl
4 4 12
direct
0.147 0.186 0.370
0.186 0.147 0.870
0.814 0.853 0.130
0.853 0.814 0.630
0.461 0.539 0.250
0.500 0.500 0.000
0.500 0.500 0.500
0.539 0.461 0.750
0.143 0.690 0.353
0.219 0.628 0.858
0.310 0.857 0.147
0.318 0.353 0.086
0.353 0.318 0.586
0.372 0.781 0.642
0.628 0.219 0.358
0.647 0.682 0.414
0.682 0.647 0.914
0.690 0.143 0.853
0.781 0.372 0.142
0.857 0.310 0.647

---

Which formula does entry 2 have?
Na3CrCl6

---

uncorrected energy of number 2 (Na3CrCl6)?
-161.16 eV per cell

---

Which value of M_tot does entry 1 give?
6.00 μB/f.u.